First-principles (PBE-GGA) data for a geometry-optimized HfMg14Si structure, as listed in the Materials Project.

Properties
- E (MP2020): -2.30 eV/atom
- Energy relative to the lowest polymorph listed for this composition: 24 meV per atom
- DFT formation energy: 0.06 eV/atom

Unit cell a=6.2739 b=6.2739 c=10.2138 alpha=90.00 beta=90.00 gamma=120.00
Space group P-6m2 (No. 187)
Unique sites:
Hf: 0.0000 0.0000 0.0000 x1
Mg: 0.0047 0.5023 0.0000 x3
Mg: 0.1615 0.3229 0.2516 x6
Mg: 0.5011 0.0022 0.5000 x3
Mg: 0.6667 0.3333 0.2443 x2
Si: 0.0000 0.0000 0.5000 x1

=====

First-principles (PBE-GGA) data for a geometry-optimized HfMg14Si structure, as listed in the Materials Project.

Properties
- E (MP2020): -2.32 eV/atom
- Energy relative to the lowest polymorph listed for this composition: 0 meV per atom
- DFT formation energy: 0.04 eV/atom

Unit cell a=10.224 b=6.154 c=11.036 alpha=90.00 beta=90.00 gamma=90.00
Space group Amm2 (No. 38)
Unique sites:
Hf: 0.000 0.000 0.000 x2
Mg: 0.000 0.247 0.247 x4
Mg: 0.245 0.000 0.660 x4
Mg: 0.246 0.249 0.414 x8
Mg: 0.250 0.000 0.161 x4
Mg: 0.500 0.000 0.497 x2
Mg: 0.500 0.000 0.996 x2
Mg: 0.500 0.249 0.747 x4
Si: 0.000 0.000 0.497 x2